# 1
This record from Materials Project describes an optimized crystal structure of Mg14SiCO16. The functional is PBE.

Calculated values
ΔE to the lowest computed polymorph, eV/f.u.: 2.734
SG: No. 123
E_form, eV/atom: -2.580

Structure (POSCAR):
```
Mg14SiCO16
1.0
8.5129 0.0000 0.0000
0.0000 8.5129 0.0000
0.0000 0.0000 4.3068
Mg Si C O
14 1 1 16
direct
0.0000 0.2416 0.0000 Mg
0.0000 0.5000 0.5000 Mg
0.0000 0.7584 0.0000 Mg
0.2416 0.0000 0.0000 Mg
0.2433 0.2433 0.5000 Mg
0.2433 0.7567 0.5000 Mg
0.2453 0.5000 0.0000 Mg
0.5000 0.0000 0.5000 Mg
0.5000 0.2453 0.0000 Mg
0.5000 0.7547 0.0000 Mg
0.7547 0.5000 0.0000 Mg
0.7567 0.2433 0.5000 Mg
0.7567 0.7567 0.5000 Mg
0.7584 0.0000 0.0000 Mg
0.5000 0.5000 0.5000 Si
0.0000 0.0000 0.5000 C
0.0000 0.0000 0.0000 O
0.0000 0.2593 0.5000 O
0.0000 0.5000 0.0000 O
0.0000 0.7407 0.5000 O
0.2503 0.2503 0.0000 O
0.2503 0.7497 0.0000 O
0.2547 0.5000 0.5000 O
0.2593 0.0000 0.5000 O
0.5000 0.0000 0.0000 O
0.5000 0.2547 0.5000 O
0.5000 0.5000 0.0000 O
0.5000 0.7453 0.5000 O
0.7407 0.0000 0.5000 O
0.7453 0.5000 0.5000 O
0.7497 0.2503 0.0000 O
0.7497 0.7497 0.0000 O
```

***

# 2
This record from Materials Project describes an optimized crystal structure of Mg14SiCO16. The functional is PBE.

Calculated values
ΔE to the lowest computed polymorph, eV/f.u.: 0.000
SG: No. 47
E_form, eV/atom: -2.666

Structure (POSCAR):
```
Mg14SiCO16
1.0
4.1961 0.0000 0.0000
0.0000 8.4060 0.0000
0.0000 0.0000 8.7675
Mg Si C O
14 1 1 16
direct
0.0000 0.0000 0.0000 Mg
0.0000 0.0000 0.5000 Mg
0.0000 0.2584 0.2374 Mg
0.0000 0.2584 0.7626 Mg
0.0000 0.7416 0.2374 Mg
0.0000 0.7416 0.7626 Mg
0.5000 0.0000 0.2466 Mg
0.5000 0.0000 0.7534 Mg
0.5000 0.2517 0.5000 Mg
0.5000 0.2552 0.0000 Mg
0.5000 0.5000 0.2345 Mg
0.5000 0.5000 0.7655 Mg
0.5000 0.7448 0.0000 Mg
0.5000 0.7483 0.5000 Mg
0.0000 0.5000 0.5000 Si
0.0000 0.5000 0.0000 C
0.0000 0.0000 0.2583 O
0.0000 0.0000 0.7417 O
0.0000 0.2359 0.0000 O
0.0000 0.2719 0.5000 O
0.0000 0.5000 0.3095 O
0.0000 0.5000 0.6905 O
0.0000 0.7281 0.5000 O
0.0000 0.7641 0.0000 O
0.5000 0.0000 0.0000 O
0.5000 0.0000 0.5000 O
0.5000 0.2533 0.2495 O
0.5000 0.2533 0.7505 O
0.5000 0.5000 0.0000 O
0.5000 0.5000 0.5000 O
0.5000 0.7467 0.2495 O
0.5000 0.7467 0.7505 O
```

***

# 3
This record from Materials Project describes an optimized crystal structure of Mg6SnCO8. The functional is PBE.

Calculated values
ΔE to the lowest computed polymorph, eV/f.u.: 0.152
SG: No. 123
E_form, eV/atom: -2.091

Structure (POSCAR):
```
Mg6SnCO8
1.0
4.3777 0.0000 0.0000
0.0000 4.3777 0.0000
0.0000 0.0000 8.7133
Mg Sn C O
6 1 1 8
direct
0.0000 0.0000 0.0000 Mg
0.0000 0.5000 0.2452 Mg
0.0000 0.5000 0.7548 Mg
0.5000 0.0000 0.2452 Mg
0.5000 0.0000 0.7548 Mg
0.5000 0.5000 0.0000 Mg
0.0000 0.0000 0.5000 Sn
0.5000 0.5000 0.5000 C
0.0000 0.0000 0.2382 O
0.0000 0.0000 0.7618 O
0.0000 0.5000 0.0000 O
0.0000 0.5000 0.5000 O
0.5000 0.0000 0.0000 O
0.5000 0.0000 0.5000 O
0.5000 0.5000 0.2391 O
0.5000 0.5000 0.7609 O
```

***

# 4
This record from Materials Project describes an optimized crystal structure of Mg30SnCO32. The functional is PBE.

Calculated values
ΔE to the lowest computed polymorph, eV/f.u.: 0.393
SG: No. 123
E_form, eV/atom: -2.795

Structure (POSCAR):
```
Mg30SnCO32
1.0
8.5886 0.0000 0.0000
0.0000 8.5886 0.0000
0.0000 0.0000 8.5873
Mg Sn C O
30 1 1 32
direct
0.0000 0.0000 0.0000 Mg
0.0000 0.2479 0.2514 Mg
0.0000 0.2479 0.7486 Mg
0.0000 0.5000 0.0000 Mg
0.0000 0.5000 0.5000 Mg
0.0000 0.7521 0.2514 Mg
0.0000 0.7521 0.7486 Mg
0.2436 0.2436 0.5000 Mg
0.2436 0.7564 0.5000 Mg
0.2452 0.5000 0.2459 Mg
0.2452 0.5000 0.7541 Mg
0.2479 0.0000 0.2514 Mg
0.2479 0.0000 0.7486 Mg
0.2492 0.2492 0.0000 Mg
0.2492 0.7508 0.0000 Mg
0.5000 0.0000 0.0000 Mg
0.5000 0.0000 0.5000 Mg
0.5000 0.2452 0.2459 Mg
0.5000 0.2452 0.7541 Mg
0.5000 0.5000 0.0000 Mg
0.5000 0.7548 0.2459 Mg
0.5000 0.7548 0.7541 Mg
0.7508 0.2492 0.0000 Mg
0.7508 0.7508 0.0000 Mg
0.7521 0.0000 0.2514 Mg
0.7521 0.0000 0.7486 Mg
0.7548 0.5000 0.2459 Mg
0.7548 0.5000 0.7541 Mg
0.7564 0.2436 0.5000 Mg
0.7564 0.7564 0.5000 Mg
0.5000 0.5000 0.5000 Sn
0.0000 0.0000 0.5000 C
0.0000 0.0000 0.2479 O
0.0000 0.0000 0.7521 O
0.0000 0.2484 0.0000 O
0.0000 0.2500 0.5000 O
0.0000 0.5000 0.2466 O
0.0000 0.5000 0.7534 O
0.0000 0.7500 0.5000 O
0.0000 0.7516 0.0000 O
0.2299 0.5000 0.5000 O
0.2466 0.5000 0.0000 O
0.2484 0.0000 0.0000 O
0.2500 0.0000 0.5000 O
0.2497 0.2497 0.2510 O
0.2497 0.2497 0.7490 O
0.2497 0.7503 0.2510 O
0.2497 0.7503 0.7490 O
0.5000 0.0000 0.2466 O
0.5000 0.0000 0.7534 O
0.5000 0.2299 0.5000 O
0.5000 0.2466 0.0000 O
0.5000 0.5000 0.2300 O
0.5000 0.5000 0.7700 O
0.5000 0.7534 0.0000 O
0.5000 0.7701 0.5000 O
0.7500 0.0000 0.5000 O
0.7503 0.2497 0.2510 O
0.7503 0.2497 0.7490 O
0.7503 0.7503 0.2510 O
0.7503 0.7503 0.7490 O
0.7516 0.0000 0.0000 O
0.7534 0.5000 0.0000 O
0.7701 0.5000 0.5000 O
```

***

# 5
This record from Materials Project describes an optimized crystal structure of Mg14SnCO16. The functional is PBE.

Calculated values
ΔE to the lowest computed polymorph, eV/f.u.: 0.403
SG: No. 123
E_form, eV/atom: -2.551

Structure (POSCAR):
```
Mg14SnCO16
1.0
8.6315 0.0000 0.0000
0.0000 8.6315 0.0000
0.0000 0.0000 4.3551
Mg Sn C O
14 1 1 16
direct
0.0000 0.2410 0.0000 Mg
0.0000 0.5000 0.5000 Mg
0.0000 0.7590 0.0000 Mg
0.2372 0.5000 0.0000 Mg
0.2398 0.2398 0.5000 Mg
0.2398 0.7602 0.5000 Mg
0.2410 0.0000 0.0000 Mg
0.5000 0.0000 0.5000 Mg
0.5000 0.2372 0.0000 Mg
0.5000 0.7628 0.0000 Mg
0.7590 0.0000 0.0000 Mg
0.7602 0.2398 0.5000 Mg
0.7602 0.7602 0.5000 Mg
0.7628 0.5000 0.0000 Mg
0.5000 0.5000 0.5000 Sn
0.0000 0.0000 0.5000 C
0.0000 0.0000 0.0000 O
0.0000 0.2566 0.5000 O
0.0000 0.5000 0.0000 O
0.0000 0.7434 0.5000 O
0.2369 0.5000 0.5000 O
0.2504 0.2504 0.0000 O
0.2504 0.7496 0.0000 O
0.2566 0.0000 0.5000 O
0.5000 0.0000 0.0000 O
0.5000 0.2369 0.5000 O
0.5000 0.5000 0.0000 O
0.5000 0.7631 0.5000 O
0.7434 0.0000 0.5000 O
0.7496 0.2504 0.0000 O
0.7496 0.7496 0.0000 O
0.7631 0.5000 0.5000 O
```

***

# 6
This record from Materials Project describes an optimized crystal structure of Mg14SnCO16. The functional is PBE.

Calculated values
ΔE to the lowest computed polymorph, eV/f.u.: 0.000
SG: No. 47
E_form, eV/atom: -2.563

Structure (POSCAR):
```
Mg14SnCO16
1.0
4.2843 0.0000 0.0000
0.0000 8.5807 0.0000
0.0000 0.0000 8.7991
Mg Sn C O
14 1 1 16
direct
0.0000 0.0000 0.0000 Mg
0.0000 0.0000 0.5000 Mg
0.0000 0.2492 0.2390 Mg
0.0000 0.2492 0.7610 Mg
0.0000 0.7508 0.2390 Mg
0.0000 0.7508 0.7610 Mg
0.5000 0.0000 0.2452 Mg
0.5000 0.0000 0.7548 Mg
0.5000 0.2401 0.5000 Mg
0.5000 0.2543 0.0000 Mg
0.5000 0.5000 0.2309 Mg
0.5000 0.5000 0.7691 Mg
0.5000 0.7457 0.0000 Mg
0.5000 0.7599 0.5000 Mg
0.0000 0.5000 0.5000 Sn
0.0000 0.5000 0.0000 C
0.0000 0.0000 0.2487 O
0.0000 0.0000 0.7513 O
0.0000 0.2378 0.5000 O
0.0000 0.2395 0.0000 O
0.0000 0.5000 0.2613 O
0.0000 0.5000 0.7387 O
0.0000 0.7605 0.0000 O
0.0000 0.7622 0.5000 O
0.5000 0.0000 0.0000 O
0.5000 0.0000 0.5000 O
0.5000 0.2511 0.2493 O
0.5000 0.2511 0.7507 O
0.5000 0.5000 0.0000 O
0.5000 0.5000 0.5000 O
0.5000 0.7489 0.2493 O
0.5000 0.7489 0.7507 O
```

***

# 7
This record from Materials Project describes an optimized crystal structure of Mg30SnCO32. The functional is PBE.

Calculated values
ΔE to the lowest computed polymorph, eV/f.u.: 0.000
SG: No. 123
E_form, eV/atom: -2.801

Structure (POSCAR):
```
Mg30SnCO32
1.0
8.5558 0.0000 0.0000
0.0000 8.5558 0.0000
0.0000 0.0000 8.6447
Mg Sn C O
30 1 1 32
direct
0.0000 0.0000 0.0000 Mg
0.0000 0.0000 0.5000 Mg
0.0000 0.2502 0.2489 Mg
0.0000 0.2502 0.7511 Mg
0.0000 0.5000 0.0000 Mg
0.0000 0.5000 0.5000 Mg
0.0000 0.7498 0.2489 Mg
0.0000 0.7498 0.7511 Mg
0.2458 0.2458 0.5000 Mg
0.2458 0.7542 0.5000 Mg
0.2485 0.5000 0.2428 Mg
0.2485 0.5000 0.7572 Mg
0.2502 0.0000 0.2489 Mg
0.2502 0.0000 0.7511 Mg
0.2522 0.2522 0.0000 Mg
0.2522 0.7478 0.0000 Mg
0.5000 0.0000 0.0000 Mg
0.5000 0.0000 0.5000 Mg
0.5000 0.2485 0.2428 Mg
0.5000 0.2485 0.7572 Mg
0.5000 0.7515 0.2428 Mg
0.5000 0.7515 0.7572 Mg
0.7478 0.2522 0.0000 Mg
0.7478 0.7478 0.0000 Mg
0.7498 0.0000 0.2489 Mg
0.7498 0.0000 0.7511 Mg
0.7515 0.5000 0.2428 Mg
0.7515 0.5000 0.7572 Mg
0.7542 0.2458 0.5000 Mg
0.7542 0.7542 0.5000 Mg
0.5000 0.5000 0.5000 Sn
0.5000 0.5000 0.0000 C
0.0000 0.0000 0.2499 O
0.0000 0.0000 0.7501 O
0.0000 0.2478 0.5000 O
0.0000 0.2496 0.0000 O
0.0000 0.5000 0.2481 O
0.0000 0.5000 0.7519 O
0.0000 0.7504 0.0000 O
0.0000 0.7522 0.5000 O
0.2357 0.5000 0.5000 O
0.2429 0.5000 0.0000 O
0.2478 0.0000 0.5000 O
0.2496 0.0000 0.0000 O
0.2509 0.2509 0.2502 O
0.2509 0.2509 0.7498 O
0.2509 0.7491 0.2502 O
0.2509 0.7491 0.7498 O
0.5000 0.0000 0.2481 O
0.5000 0.0000 0.7519 O
0.5000 0.2357 0.5000 O
0.5000 0.2429 0.0000 O
0.5000 0.5000 0.2554 O
0.5000 0.5000 0.7446 O
0.5000 0.7571 0.0000 O
0.5000 0.7643 0.5000 O
0.7491 0.2509 0.2502 O
0.7491 0.2509 0.7498 O
0.7491 0.7491 0.2502 O
0.7491 0.7491 0.7498 O
0.7504 0.0000 0.0000 O
0.7522 0.0000 0.5000 O
0.7571 0.5000 0.0000 O
0.7643 0.5000 0.5000 O
```

***

# 8
This record from Materials Project describes an optimized crystal structure of Mg6SnCO8. The functional is PBE.

Calculated values
ΔE to the lowest computed polymorph, eV/f.u.: 0.000
SG: No. 123
E_form, eV/atom: -2.100

Structure (POSCAR):
```
Mg6SnCO8
1.0
4.2622 0.0000 0.0000
0.0000 4.2622 0.0000
0.0000 0.0000 9.3494
Mg Sn C O
6 1 1 8
direct
0.0000 0.0000 0.0000 Mg
0.0000 0.0000 0.5000 Mg
0.0000 0.5000 0.2210 Mg
0.0000 0.5000 0.7790 Mg
0.5000 0.0000 0.2210 Mg
0.5000 0.0000 0.7790 Mg
0.5000 0.5000 0.5000 Sn
0.5000 0.5000 0.0000 C
0.0000 0.0000 0.2406 O
0.0000 0.0000 0.7594 O
0.0000 0.5000 0.0000 O
0.0000 0.5000 0.5000 O
0.5000 0.0000 0.0000 O
0.5000 0.0000 0.5000 O
0.5000 0.5000 0.2759 O
0.5000 0.5000 0.7241 O
```

***

# 9
This record from Materials Project describes an optimized crystal structure of SrMg6CO8. The functional is PBE.

Calculated values
ΔE to the lowest computed polymorph, eV/f.u.: 0.116
SG: No. 123
E_form, eV/atom: -2.234

Structure (POSCAR):
```
SrMg6CO8
1.0
4.4651 0.0000 0.0000
0.0000 4.4651 0.0000
0.0000 0.0000 8.6529
Sr Mg C O
1 6 1 8
direct
0.0000 0.0000 0.0000 Sr
0.0000 0.5000 0.2645 Mg
0.0000 0.5000 0.7355 Mg
0.5000 0.0000 0.2645 Mg
0.5000 0.0000 0.7355 Mg
0.5000 0.5000 0.0000 Mg
0.5000 0.5000 0.5000 Mg
0.0000 0.0000 0.5000 C
0.0000 0.0000 0.2748 O
0.0000 0.0000 0.7252 O
0.0000 0.5000 0.0000 O
0.0000 0.5000 0.5000 O
0.5000 0.0000 0.0000 O
0.5000 0.0000 0.5000 O
0.5000 0.5000 0.2531 O
0.5000 0.5000 0.7469 O
```

***

# 10
This record from Materials Project describes an optimized crystal structure of SrMg6CO8. The functional is PBE.

Calculated values
ΔE to the lowest computed polymorph, eV/f.u.: 0.000
SG: No. 123
E_form, eV/atom: -2.241

Structure (POSCAR):
```
SrMg6CO8
1.0
4.4398 0.0000 0.0000
0.0000 4.4398 0.0000
0.0000 0.0000 8.7414
Sr Mg C O
1 6 1 8
direct
0.0000 0.0000 0.0000 Sr
0.0000 0.0000 0.5000 Mg
0.0000 0.5000 0.2578 Mg
0.0000 0.5000 0.7422 Mg
0.5000 0.0000 0.2578 Mg
0.5000 0.0000 0.7422 Mg
0.5000 0.5000 0.5000 Mg
0.5000 0.5000 0.0000 C
0.0000 0.0000 0.2724 O
0.0000 0.0000 0.7276 O
0.0000 0.5000 0.0000 O
0.0000 0.5000 0.5000 O
0.5000 0.0000 0.0000 O
0.5000 0.0000 0.5000 O
0.5000 0.5000 0.2528 O
0.5000 0.5000 0.7472 O
```

***

Please write out number 6 again, unchanged.
This record from Materials Project describes an optimized crystal structure of Mg14SnCO16. The functional is PBE.

Calculated values
ΔE to the lowest computed polymorph, eV/f.u.: 0.000
SG: No. 47
E_form, eV/atom: -2.563

Structure (POSCAR):
```
Mg14SnCO16
1.0
4.2843 0.0000 0.0000
0.0000 8.5807 0.0000
0.0000 0.0000 8.7991
Mg Sn C O
14 1 1 16
direct
0.0000 0.0000 0.0000 Mg
0.0000 0.0000 0.5000 Mg
0.0000 0.2492 0.2390 Mg
0.0000 0.2492 0.7610 Mg
0.0000 0.7508 0.2390 Mg
0.0000 0.7508 0.7610 Mg
0.5000 0.0000 0.2452 Mg
0.5000 0.0000 0.7548 Mg
0.5000 0.2401 0.5000 Mg
0.5000 0.2543 0.0000 Mg
0.5000 0.5000 0.2309 Mg
0.5000 0.5000 0.7691 Mg
0.5000 0.7457 0.0000 Mg
0.5000 0.7599 0.5000 Mg
0.0000 0.5000 0.5000 Sn
0.0000 0.5000 0.0000 C
0.0000 0.0000 0.2487 O
0.0000 0.0000 0.7513 O
0.0000 0.2378 0.5000 O
0.0000 0.2395 0.0000 O
0.0000 0.5000 0.2613 O
0.0000 0.5000 0.7387 O
0.0000 0.7605 0.0000 O
0.0000 0.7622 0.5000 O
0.5000 0.0000 0.0000 O
0.5000 0.0000 0.5000 O
0.5000 0.2511 0.2493 O
0.5000 0.2511 0.7507 O
0.5000 0.5000 0.0000 O
0.5000 0.5000 0.5000 O
0.5000 0.7489 0.2493 O
0.5000 0.7489 0.7507 O
```

***

What is the formula in the tenth record?
SrMg6CO8